a | LiMo2P3O13, relaxed, DFT GGA+U; magnetization = 2.00 μB/f.u.; crystal system = monoclinic
1.0
0.993 -3.832 8.004
5.977 6.628 -0.255
-1.533 5.821 6.448
Li Mo P O
2 4 6 26
direct
0.000 0.500 0.500
0.500 0.000 0.000
0.172 0.338 0.172
0.338 0.172 0.672
0.828 0.662 0.828
0.662 0.828 0.328
0.740 0.151 0.441
0.849 0.260 0.059
0.151 0.740 0.941
0.488 0.512 0.250
0.260 0.849 0.559
0.512 0.488 0.750
0.254 0.930 0.907
0.500 0.398 0.419
0.963 0.702 0.967
0.600 0.150 0.600
0.150 0.600 0.100
0.702 0.963 0.467
0.739 0.261 0.250
0.197 0.147 0.231
0.803 0.853 0.769
0.398 0.500 0.919
0.558 0.711 0.203
0.853 0.803 0.269
0.930 0.254 0.407
0.711 0.558 0.703
0.037 0.298 0.033
0.746 0.070 0.093
0.602 0.500 0.081
0.500 0.602 0.581
0.147 0.197 0.731
0.298 0.037 0.533
0.442 0.289 0.797
0.400 0.850 0.400
0.070 0.746 0.593
0.289 0.442 0.297
0.261 0.739 0.750
0.850 0.400 0.900



b | LiMo2P3O13, relaxed, DFT GGA+U; magnetization = 2.00 μB/f.u.; crystal system = triclinic
1.0
-6.467 0.000 0.000
-1.317 -7.503 0.000
-0.690 -2.609 11.036
Li Mo P O
2 4 6 26
direct
0.196 0.569 0.815
0.804 0.431 0.185
0.216 0.199 0.093
0.239 0.199 0.596
0.761 0.801 0.404
0.784 0.801 0.907
0.878 0.531 0.687
0.739 0.206 0.667
0.734 0.067 0.114
0.266 0.933 0.886
0.122 0.469 0.313
0.261 0.794 0.333
0.866 0.630 0.791
0.921 0.219 0.574
0.890 0.540 0.334
0.775 0.896 0.218
0.134 0.370 0.209
0.079 0.781 0.426
0.110 0.460 0.666
0.225 0.104 0.782
0.104 0.802 0.888
0.242 0.354 0.424
0.245 0.639 0.258
0.215 0.367 0.962
0.257 0.992 0.007
0.241 0.978 0.245
0.304 0.986 0.572
0.521 0.191 0.128
0.526 0.266 0.606
0.474 0.734 0.394
0.479 0.809 0.872
0.696 0.014 0.428
0.759 0.022 0.755
0.743 0.008 0.993
0.785 0.633 0.038
0.755 0.361 0.742
0.758 0.646 0.576
0.896 0.198 0.112



What should be chosen as the most stable of them? Choose b.



a | CaVO2, relaxed, DFT GGA+U; magnetization = 2.50 μB/f.u.; crystal system = monoclinic
1.0
0.823 2.966 -0.394
-5.352 0.716 6.416
6.529 0.514 5.281
Ca V O
4 4 8
direct
0.372 0.029 0.303
0.623 0.951 0.725
0.332 0.703 0.058
0.662 0.277 0.971
0.353 0.308 0.623
0.033 0.376 0.331
0.964 0.604 0.697
0.644 0.671 0.405
0.143 0.793 0.528
0.341 0.471 0.812
0.657 0.509 0.216
0.855 0.187 0.500
0.178 0.140 0.803
0.028 0.202 0.164
0.817 0.840 0.225
0.966 0.777 0.865



b | CaVO2, relaxed, DFT GGA+U; magnetization = 3.00 μB/f.u.; crystal system = triclinic
1.0
3.183 0.000 0.000
1.565 8.652 0.000
1.579 0.491 8.776
Ca V O
4 4 8
direct
0.902 0.262 0.927
0.098 0.738 0.073
0.306 0.081 0.302
0.694 0.919 0.698
0.324 0.599 0.753
0.067 0.256 0.600
0.933 0.744 0.400
0.676 0.401 0.247
0.091 0.552 0.269
0.328 0.782 0.569
0.672 0.218 0.431
0.909 0.448 0.731
0.697 0.732 0.879
0.532 0.166 0.759
0.303 0.268 0.121
0.468 0.834 0.241



What should be chosen as the most stable of them? Choose a.



a | Ca2PdWO6, relaxed, DFT GGA+U; magnetization = 1.78 μB/f.u.; crystal system = cubic
1.0
3.559 -4.396 1.051
-0.989 -5.138 -2.394
3.466 -1.952 -4.157
Ca Pd W O
2 1 1 6
direct
0.250 0.250 0.250
0.750 0.750 0.750
0.500 0.500 0.500
0.000 0.000 0.000
0.763 0.237 0.763
0.237 0.237 0.763
0.763 0.763 0.237
0.763 0.237 0.237
0.237 0.763 0.237
0.237 0.763 0.763



b | Ca2PdWO6, relaxed, DFT GGA+U; magnetization = 2.00 μB/f.u.; crystal system = orthorhombic
1.0
-0.177 -1.540 -5.384
3.712 -4.712 1.225
-6.472 -4.693 1.554
Ca Pd W O
4 2 2 12
direct
0.000 0.575 0.740
0.000 0.575 0.260
0.500 0.078 0.757
0.500 0.078 0.243
0.500 0.478 0.000
0.000 0.988 0.500
0.000 0.965 0.000
0.500 0.477 0.500
0.259 0.170 0.000
0.741 0.170 0.000
0.776 0.717 0.000
0.224 0.717 0.000
0.270 0.235 0.500
0.730 0.235 0.500
0.245 0.687 0.500
0.755 0.687 0.500
0.000 0.956 0.763
0.000 0.956 0.237
0.500 0.459 0.737
0.500 0.459 0.263



What should be chosen as the most stable of them? Choose b.



a | NaCo3O6, relaxed, DFT GGA+U; magnetization = 0.00 μB/f.u.; crystal system = monoclinic
1.0
-4.244 2.450 0.013
-1.426 0.823 5.679
4.235 7.335 0.000
Na Co O
2 6 12
direct
0.000 0.500 0.172
0.500 0.500 0.664
0.000 0.000 0.666
0.500 0.000 0.833
0.500 0.000 0.499
0.500 0.000 0.167
0.000 0.000 0.334
0.000 0.000 0.999
0.782 0.171 0.166
0.275 0.171 0.669
0.218 0.829 0.166
0.725 0.829 0.669
0.272 0.170 0.998
0.778 0.171 0.503
0.271 0.171 0.332
0.774 0.172 0.831
0.729 0.829 0.332
0.226 0.828 0.831
0.728 0.830 0.998
0.222 0.829 0.503



b | NaCo3O6, relaxed, DFT GGA+U; magnetization = 2.00 μB/f.u.; crystal system = monoclinic
1.0
1.978 -3.039 -3.440
2.404 0.780 4.268
-1.906 -4.161 3.796
Na Co O
1 3 6
direct
0.332 0.166 0.500
0.671 0.336 0.000
0.332 0.666 0.000
0.001 0.001 0.000
0.314 0.927 0.173
0.021 0.277 0.174
0.663 0.615 0.170
0.663 0.049 0.830
0.314 0.387 0.827
0.022 0.744 0.826



What should be chosen as the most stable of them? Choose a.